Entry from the Materials Project: a relaxed Fe19Si12O48 crystal (PBE+U).

Cell lengths 7.7035, 11.4428, 11.4643 Å; angles 68.24, 74.64, 81.69 degrees
Element x y z (fractional)
Fe1 0.0000 0.0000 0.0000
Fe2 0.0715 0.3250 0.2711
Fe3 0.0715 0.3299 0.7738
Fe4 0.2562 0.0084 0.2254
Fe5 0.2644 0.0051 0.7285
Fe6 0.3178 0.8368 0.5061
Fe7 0.3198 0.3415 0.4951
Fe8 0.3315 0.3356 0.0002
Fe9 0.3994 0.6630 0.2698
Fe10 0.4116 0.6626 0.7800
Fe11 0.5884 0.3374 0.2200
Fe12 0.6006 0.3370 0.7302
Fe13 0.6685 0.6644 0.9998
Fe14 0.6802 0.6585 0.5049
Fe15 0.6822 0.1632 0.4939
Fe16 0.7356 0.9949 0.2715
Fe17 0.7438 0.9916 0.7746
Fe18 0.9285 0.6701 0.2262
Fe19 0.9285 0.6750 0.7289
Si1 0.0145 0.7625 0.4030
Si2 0.0512 0.8040 0.9032
Si3 0.2769 0.5317 0.0983
Si4 0.3248 0.5692 0.5976
Si5 0.3371 0.0958 0.4072
Si6 0.3845 0.1349 0.9035
Si7 0.6155 0.8651 0.0965
Si8 0.6629 0.9042 0.5928
Si9 0.6752 0.4308 0.4024
Si10 0.7231 0.4683 0.9017
Si11 0.9488 0.1960 0.0968
Si12 0.9855 0.2375 0.5970
O1 0.0194 0.0441 0.1683
O2 0.0304 0.7931 0.0531
O3 0.0603 0.2996 0.1092
O4 0.0643 0.5276 0.1819
O5 0.0825 0.3191 0.4470
O6 0.1298 0.6727 0.3210
O7 0.1349 0.8737 0.3914
O8 0.1603 0.1930 0.6687
O9 0.1854 0.1444 0.3203
O10 0.2015 0.6678 0.6670
O11 0.2172 0.4523 0.6084
O12 0.2602 0.8168 0.8168
O13 0.2613 0.0016 0.5561
O14 0.2683 0.0340 0.8904
O15 0.2965 0.5360 0.9516
O16 0.3208 0.2868 0.8298
O17 0.3334 0.3799 0.1743
O18 0.3657 0.1263 0.0526
O19 0.3950 0.6333 0.1096
O20 0.4045 0.8608 0.1805
O21 0.4115 0.6663 0.4484
O22 0.4547 0.2063 0.4064
O23 0.4589 0.9982 0.3324
O24 0.4960 0.4784 0.3377
O25 0.5040 0.5216 0.6623
O26 0.5411 0.0018 0.6676
O27 0.5453 0.7937 0.5936
O28 0.5885 0.3337 0.5516
O29 0.5955 0.1392 0.8195
O30 0.6050 0.3667 0.8904
O31 0.6343 0.8737 0.9474
O32 0.6666 0.6201 0.8257
O33 0.6792 0.7132 0.1702
O34 0.7035 0.4640 0.0484
O35 0.7317 0.9660 0.1096
O36 0.7387 0.9984 0.4439
O37 0.7398 0.1832 0.1832
O38 0.7828 0.5477 0.3916
O39 0.7985 0.3322 0.3330
O40 0.8146 0.8556 0.6797
O41 0.8397 0.8070 0.3313
O42 0.8651 0.1263 0.6086
O43 0.8702 0.3273 0.6790
O44 0.9175 0.6809 0.5530
O45 0.9357 0.4724 0.8181
O46 0.9397 0.7004 0.8908
O47 0.9696 0.2069 0.9469
O48 0.9806 0.9559 0.8317

Summary:
* formation energy from the elements: -225.3 kJ/mol of atoms
* space group: P-1, No. 2

***

Entry from the Materials Project: a relaxed FeSiO3 crystal (PBE+U).

Cell lengths 6.7538, 7.5556, 20.8964 Å; angles 84.26, 81.21, 84.60 degrees
Element x y z (fractional)
Fe1 0.0289 0.3490 0.3051
Fe2 0.0485 0.9627 0.9192
Fe3 0.1131 0.6448 0.5332
Fe4 0.1483 0.3248 0.1497
Fe5 0.1905 0.9425 0.7603
Fe6 0.2153 0.3050 0.9885
Fe7 0.2176 0.6078 0.3823
Fe8 0.3020 0.9101 0.6095
Fe9 0.3827 0.2076 0.8395
Fe10 0.6173 0.7924 0.1605
Fe11 0.6980 0.0899 0.3905
Fe12 0.7824 0.3922 0.6177
Fe13 0.7847 0.6950 0.0115
Fe14 0.8095 0.0575 0.2397
Fe15 0.8517 0.6752 0.8503
Fe16 0.8869 0.3552 0.4668
Fe17 0.9515 0.0373 0.0808
Fe18 0.9711 0.6510 0.6949
Si1 0.1037 0.7184 0.1928
Si2 0.1771 0.0064 0.4106
Si3 0.2302 0.6894 0.0507
Si4 0.2581 0.2955 0.6344
Si5 0.2958 0.9826 0.2615
Si6 0.3339 0.5964 0.8530
Si7 0.3726 0.2705 0.4839
Si8 0.4554 0.5658 0.7047
Si9 0.4913 0.1507 0.0693
Si10 0.5087 0.8493 0.9307
Si11 0.5446 0.4342 0.2953
Si12 0.6274 0.7295 0.5161
Si13 0.6661 0.4036 0.1470
Si14 0.7042 0.0174 0.7385
Si15 0.7419 0.7045 0.3656
Si16 0.7698 0.3106 0.9493
Si17 0.8229 0.9936 0.5894
Si18 0.8963 0.2816 0.8072
O1 0.0092 0.8441 0.6007
O2 0.0477 0.8204 0.0226
O3 0.0496 0.5152 0.2153
O4 0.0777 0.4517 0.6253
O5 0.0842 0.1411 0.8260
O6 0.1239 0.8066 0.4411
O7 0.1302 0.1418 0.2396
O8 0.1460 0.7502 0.8512
O9 0.1752 0.4843 0.0546
O10 0.1995 0.4308 0.4702
O11 0.2035 0.1034 0.6721
O12 0.2132 0.7891 0.2499
O13 0.2523 0.1212 0.0743
O14 0.2723 0.7267 0.1246
O15 0.2800 0.7274 0.6954
O16 0.2834 0.4137 0.8969
O17 0.3139 0.4019 0.3246
O18 0.3151 0.9789 0.3392
O19 0.3199 0.0836 0.4573
O20 0.3493 0.0203 0.9222
O21 0.3716 0.2327 0.5632
O22 0.3981 0.7061 0.5511
O23 0.4254 0.3839 0.6695
O24 0.4314 0.5112 0.7842
O25 0.4425 0.7332 0.0021
O26 0.4780 0.0154 0.7786
O27 0.4838 0.2994 0.1247
O28 0.5162 0.7006 0.8753
O29 0.5220 0.9846 0.2214
O30 0.5575 0.2668 0.9979
O31 0.5686 0.4888 0.2158
O32 0.5746 0.6161 0.3305
O33 0.6019 0.2939 0.4489
O34 0.6284 0.7673 0.4368
O35 0.6507 0.9797 0.0778
O36 0.6801 0.9164 0.5427
O37 0.6849 0.0211 0.6608
O38 0.6861 0.5981 0.6754
O39 0.7166 0.5863 0.1031
O40 0.7200 0.2726 0.3046
O41 0.7277 0.2733 0.8754
O42 0.7477 0.8788 0.9257
O43 0.7868 0.2109 0.7501
O44 0.7965 0.8966 0.3279
O45 0.8005 0.5692 0.5298
O46 0.8248 0.5157 0.9454
O47 0.8540 0.2498 0.1488
O48 0.8698 0.8582 0.7604
O49 0.8761 0.1934 0.5589
O50 0.9158 0.8589 0.1740
O51 0.9223 0.5483 0.3747
O52 0.9504 0.4848 0.7847
O53 0.9523 0.1796 0.9774
O54 0.9908 0.1559 0.3993

Summary:
* formation energy from the elements: -247.9 kJ/mol of atoms
* space group: P-1, No. 2

***

Entry from the Materials Project: a relaxed Fe2SiO4 crystal (PBE+U).

Cell lengths 5.8903, 5.8903, 5.8903 Å; angles 119.91, 119.91, 90.15 degrees
Element x y z (fractional)
Fe1 0.0000 0.0000 0.0000
Fe2 0.0000 0.0000 0.5000
Fe3 0.0000 0.5000 0.0000
Fe4 0.5000 0.0000 0.5000
Si1 0.3750 0.6250 0.7500
Si2 0.6250 0.3750 0.2500
O1 0.2592 0.2778 0.5186
O2 0.2594 0.7408 0.5186
O3 0.2592 0.7406 0.9814
O4 0.2778 0.2592 0.0186
O5 0.7222 0.7408 0.9814
O6 0.7408 0.2594 0.0186
O7 0.7406 0.2592 0.4814
O8 0.7408 0.7222 0.4814

Summary:
* offset from the most stable computed form: 0.039 eV per atom
* formation energy from the elements: -218.3 kJ/mol of atoms
* space group: I4_1/amd, No. 141

***

Entry from the Materials Project: a relaxed Fe7Si2O12 crystal (PBE+U).

Cell lengths 5.9404, 5.9404, 13.3988 Å; angles 102.66, 102.66, 89.98 degrees
Element x y z (fractional)
Fe1 0.0000 0.0000 0.0000
Fe2 0.0000 0.0000 0.5000
Fe3 0.0000 0.5000 0.5000
Fe4 0.1261 0.8739 0.7500
Fe5 0.1727 0.6668 0.3368
Fe6 0.3332 0.8273 0.1632
Fe7 0.3335 0.3351 0.1636
Fe8 0.3351 0.3335 0.6636
Fe9 0.5000 0.0000 0.0000
Fe10 0.6649 0.6665 0.3364
Fe11 0.6665 0.6649 0.8364
Fe12 0.6668 0.1727 0.8368
Fe13 0.8273 0.3332 0.6632
Fe14 0.8739 0.1261 0.2500
Si1 0.2026 0.4569 0.9138
Si2 0.4569 0.2026 0.4138
Si3 0.5431 0.7974 0.5862
Si4 0.7974 0.5431 0.0862
O1 0.0646 0.5815 0.1627
O2 0.0778 0.0827 0.6556
O3 0.0800 0.5734 0.6602
O4 0.0827 0.0778 0.1556
O5 0.2369 0.2638 0.9904
O6 0.2368 0.7263 0.9901
O7 0.2638 0.2369 0.4904
O8 0.2737 0.7632 0.5099
O9 0.3981 0.4196 0.8394
O10 0.4185 0.9354 0.3373
O11 0.4196 0.3981 0.3394
O12 0.4266 0.9200 0.8398
O13 0.5734 0.0800 0.1602
O14 0.5804 0.6019 0.6606
O15 0.5815 0.0646 0.6627
O16 0.6019 0.5804 0.1606
O17 0.7263 0.2368 0.4901
O18 0.7362 0.7631 0.5096
O19 0.7632 0.2737 0.0099
O20 0.7631 0.7362 0.0096
O21 0.9173 0.9222 0.8444
O22 0.9200 0.4266 0.3398
O23 0.9222 0.9173 0.3444
O24 0.9354 0.4185 0.8373

Summary:
* offset from the most stable computed form: 0.000 eV per atom
* formation energy from the elements: -195.0 kJ/mol of atoms
* space group: C2/c, No. 15

***

Entry from the Materials Project: a relaxed Fe2SiO4 crystal (PBE+U).

Cell lengths 5.8856, 5.8856, 14.8968 Å; angles 90.00, 90.00, 120.00 degrees
Element x y z (fractional)
Fe1 0.0000 0.0000 0.0000
Fe2 0.0000 0.0000 0.3604
Fe3 0.0019 0.5009 0.8656
Fe4 0.1677 0.3355 0.5245
Fe5 0.1677 0.8323 0.5245
Fe6 0.3357 0.1678 0.2013
Fe7 0.4991 0.5009 0.8656
Fe8 0.4991 0.9981 0.8656
Fe9 0.6645 0.8323 0.5245
Fe10 0.6667 0.3333 0.6643
Fe11 0.8322 0.1678 0.2013
Fe12 0.8322 0.6643 0.2013
Si1 0.0000 0.0000 0.7286
Si2 0.3333 0.6667 0.0682
Si3 0.3333 0.6667 0.3239
Si4 0.3333 0.6667 0.6803
Si5 0.6667 0.3333 0.0180
Si6 0.6667 0.3333 0.4040
O1 0.0000 0.0000 0.1333
O2 0.0000 0.0000 0.6180
O3 0.0126 0.5063 0.1044
O4 0.0476 0.5238 0.6194
O5 0.1618 0.3237 0.7668
O6 0.1618 0.8382 0.7668
O7 0.1796 0.3592 0.2864
O8 0.1796 0.8204 0.2864
O9 0.3333 0.6667 0.4350
O10 0.3333 0.6667 0.9550
O11 0.3591 0.1795 0.4427
O12 0.3768 0.1884 0.9620
O13 0.4762 0.5238 0.6194
O14 0.4762 0.9524 0.6194
O15 0.4937 0.5063 0.1044
O16 0.4937 0.9874 0.1044
O17 0.6408 0.8204 0.2864
O18 0.6667 0.3333 0.2905
O19 0.6667 0.3333 0.7955
O20 0.6763 0.8382 0.7668
O21 0.8116 0.1884 0.9620
O22 0.8116 0.6232 0.9620
O23 0.8205 0.1795 0.4427
O24 0.8205 0.6409 0.4427

Summary:
* offset from the most stable computed form: 0.169 eV per atom
* formation energy from the elements: -205.7 kJ/mol of atoms
* space group: P3m1, No. 156

***

Entry from the Materials Project: a relaxed FeSiO3 crystal (PBE+U).

Cell lengths 5.3624, 18.7056, 9.2296 Å; angles 90.00, 90.00, 90.00 degrees
Element x y z (fractional)
Fe1 0.1098 0.1246 0.1530
Fe2 0.1098 0.3754 0.6530
Fe3 0.1115 0.1246 0.5089
Fe4 0.1115 0.3754 0.0089
Fe5 0.3885 0.6246 0.5089
Fe6 0.3885 0.8754 0.0089
Fe7 0.3902 0.6246 0.1530
Fe8 0.3902 0.8754 0.6530
Fe9 0.6098 0.1246 0.3470
Fe10 0.6098 0.3754 0.8470
Fe11 0.6115 0.1246 0.9911
Fe12 0.6115 0.3754 0.4911
Fe13 0.8885 0.6246 0.9911
Fe14 0.8885 0.8754 0.4911
Fe15 0.8902 0.6246 0.3470
Fe16 0.8902 0.8754 0.8470
Si1 0.0690 0.7263 0.6627
Si2 0.0690 0.7737 0.1627
Si3 0.2253 0.0245 0.8348
Si4 0.2253 0.4755 0.3348
Si5 0.2747 0.5245 0.8348
Si6 0.2747 0.9755 0.3348
Si7 0.4310 0.2263 0.6627
Si8 0.4310 0.2737 0.1627
Si9 0.5690 0.7263 0.8373
Si10 0.5690 0.7737 0.3373
Si11 0.7253 0.0245 0.6652
Si12 0.7253 0.4755 0.1652
Si13 0.7747 0.5245 0.6652
Si14 0.7747 0.9755 0.1652
Si15 0.9310 0.2263 0.8373
Si16 0.9310 0.2737 0.3373
O1 0.0580 0.6865 0.1610
O2 0.0580 0.8135 0.6610
O3 0.0595 0.5504 0.7146
O4 0.0595 0.9496 0.2146
O5 0.0738 0.6861 0.5069
O6 0.0738 0.8139 0.0069
O7 0.1618 0.1974 0.7332
O8 0.1618 0.3026 0.2332
O9 0.2026 0.5659 0.9836
O10 0.2026 0.9341 0.4836
O11 0.2283 0.5632 0.3367
O12 0.2283 0.9368 0.8367
O13 0.2717 0.0632 0.3367
O14 0.2717 0.4368 0.8367
O15 0.2974 0.0659 0.9836
O16 0.2974 0.4341 0.4836
O17 0.3382 0.6974 0.7332
O18 0.3382 0.8026 0.2332
O19 0.4262 0.1861 0.5069
O20 0.4262 0.3139 0.0069
O21 0.4405 0.0504 0.7146
O22 0.4405 0.4496 0.2146
O23 0.4420 0.1865 0.1610
O24 0.4420 0.3135 0.6610
O25 0.5580 0.6865 0.3390
O26 0.5580 0.8135 0.8390
O27 0.5595 0.5504 0.7854
O28 0.5595 0.9496 0.2854
O29 0.5738 0.6861 0.9931
O30 0.5738 0.8139 0.4931
O31 0.6618 0.1974 0.7668
O32 0.6618 0.3026 0.2668
O33 0.7026 0.5659 0.5164
O34 0.7026 0.9341 0.0164
O35 0.7283 0.5632 0.1633
O36 0.7283 0.9368 0.6633
O37 0.7717 0.0632 0.1633
O38 0.7717 0.4368 0.6633
O39 0.7974 0.0659 0.5164
O40 0.7974 0.4341 0.0164
O41 0.8382 0.6974 0.7668
O42 0.8382 0.8026 0.2668
O43 0.9262 0.1861 0.9931
O44 0.9262 0.3139 0.4931
O45 0.9405 0.0504 0.7854
O46 0.9405 0.4496 0.2854
O47 0.9420 0.1865 0.3390
O48 0.9420 0.3135 0.8390

Summary:
* formation energy from the elements: -248.7 kJ/mol of atoms
* space group: Pbca, No. 61